TmAl7Au3: relaxed, PBE.

a b c (Å): 8.4432 8.4432 8.4432
angles (deg): 57.17 57.17 57.17
With the nearest neighbours (Å) after each atom.
Positions (direct):
Al 0.4302 0.8331 0.6472  3 Au 2.59-2.67, 5 Al 2.82-2.89
Al 0.5698 0.1669 0.3528  3 Au 2.59-2.67, 5 Al 2.82-2.89
Al 0.1669 0.3528 0.5698  3 Au 2.59-2.67, 5 Al 2.82-2.89
Al 0.8331 0.6472 0.4302  3 Au 2.59-2.67, 5 Al 2.82-2.89
Al 0.1472 0.3331 0.9302  3 Au 2.59-2.67, 5 Al 2.82-2.89
Al 0.6472 0.4302 0.8331  3 Au 2.59-2.67, 5 Al 2.82-2.89
Al 0.2500 0.2500 0.2500  3 Au 2.62, 6 Al 2.89
Al 0.0698 0.8528 0.6669  3 Au 2.59-2.67, 5 Al 2.82-2.89
Al 0.7500 0.7500 0.7500  3 Au 2.62, 6 Al 2.89
Al 0.3528 0.5698 0.1669  3 Au 2.59-2.67, 5 Al 2.82-2.89
Al 0.6669 0.0698 0.8528  3 Au 2.59-2.67, 5 Al 2.82-2.89
Al 0.9302 0.1472 0.3331  3 Au 2.59-2.67, 5 Al 2.82-2.89
Al 0.8528 0.6669 0.0698  3 Au 2.59-2.67, 5 Al 2.82-2.89
Al 0.3331 0.9302 0.1472  3 Au 2.59-2.67, 5 Al 2.82-2.89
Au 0.4251 0.0749 0.7500  7 Al 2.59-2.67
Au 0.5749 0.9251 0.2500  7 Al 2.59-2.67
Au 0.7500 0.4251 0.0749  7 Al 2.59-2.67
Au 0.0749 0.7500 0.4251  7 Al 2.59-2.67
Au 0.2500 0.5749 0.9251  7 Al 2.59-2.67
Au 0.9251 0.2500 0.5749  7 Al 2.59-2.67
Tm 0.0000 0.0000 0.0000  6 Au 3.25, 12 Al 3.32-3.36
Tm 0.5000 0.5000 0.5000  6 Au 3.25, 12 Al 3.32-3.36

SG: No. 167
volume: 18.1 A^3/atom
E: -45.96 eV/f.u.
formation energy: -0.495 eV per atom

TiS4N4Cl4: relaxed, PBE.

a b c (Å): 8.7381 11.3966 15.1022
angles (deg): 52.63 90.00 90.00
With the nearest neighbours (Å) after each atom.
Positions (direct):
Cl 0.4270 0.3098 0.7058  1 Ti 2.28
Cl 0.8254 0.8804 0.9702  1 Ti 2.32
Cl 0.2400 0.4688 0.8034  1 Ti 2.23
Cl 0.2600 0.4688 0.3034  1 Ti 2.23
Cl 0.5730 0.6902 0.2942  1 Ti 2.28
Cl 0.9270 0.6902 0.7942  1 Ti 2.28
Cl 0.3254 0.1196 0.5298  1 Ti 2.32
Cl 0.1746 0.1196 0.0298  1 Ti 2.32
Cl 0.9451 0.7715 0.2207  1 Ti 2.24
Cl 0.4451 0.2285 0.2793  1 Ti 2.24
Cl 0.0549 0.2285 0.7793  1 Ti 2.24
Cl 0.7600 0.5312 0.1966  1 Ti 2.23
Cl 0.6746 0.8804 0.4702  1 Ti 2.32
Cl 0.0730 0.3098 0.2058  1 Ti 2.28
Cl 0.5549 0.7715 0.7207  1 Ti 2.24
Cl 0.7400 0.5312 0.6966  1 Ti 2.23
N 0.2932 0.8647 0.3554  2 S 1.61-1.62
N 0.5001 0.2298 0.9403  2 S 1.63-1.66
N 0.2068 0.8647 0.8554  2 S 1.61-1.62
N 0.1547 0.0042 0.4165  2 S 1.65-1.66
N 0.9999 0.2298 0.4403  2 S 1.63-1.66
N 0.8453 0.9958 0.5835  2 S 1.65-1.66
N 0.0001 0.7702 0.5597  2 S 1.63-1.66
N 0.8602 0.3704 0.5005  2 S 1.60-1.62
N 0.7932 0.1353 0.1446  2 S 1.61-1.62
N 0.4999 0.7702 0.0597  2 S 1.63-1.66
N 0.3453 0.0042 0.9165  2 S 1.65-1.66
N 0.1398 0.6296 0.4995  2 S 1.60-1.62
N 0.3602 0.6296 0.9995  2 S 1.60-1.62
N 0.7068 0.1353 0.6446  2 S 1.61-1.62
N 0.6398 0.3704 0.0005  2 S 1.60-1.62
N 0.6547 0.9958 0.0835  2 S 1.65-1.66
S 0.6992 0.2872 0.5185  2 N 1.62
S 0.3008 0.7128 0.4815  2 N 1.62
S 0.3419 0.8551 0.0480  2 N 1.63-1.65
S 0.1992 0.7128 0.9815  2 N 1.62
S 0.8556 0.0337 0.6737  2 N 1.61-1.66
S 0.8008 0.2872 0.0185  2 N 1.62
S 0.8419 0.1449 0.4520  2 N 1.63-1.65
S 0.9884 0.7250 0.4739  2 N 1.60-1.66
S 0.3556 0.9663 0.8263  2 N 1.61-1.66
S 0.1581 0.8551 0.5480  2 N 1.63-1.65
S 0.5116 0.7250 0.9739  2 N 1.60-1.66
S 0.1444 0.9663 0.3263  2 N 1.61-1.66
S 0.6444 0.0337 0.1737  2 N 1.61-1.66
S 0.0116 0.2750 0.5261  2 N 1.60-1.66
S 0.4884 0.2750 0.0261  2 N 1.60-1.66
S 0.6581 0.1449 0.9520  2 N 1.63-1.65
Ti 0.7718 0.7573 0.6489  4 Cl 2.23-2.32, 2 N 2.35-2.36
Ti 0.7282 0.7573 0.1489  4 Cl 2.23-2.32, 2 N 2.35-2.36
Ti 0.2282 0.2427 0.3511  4 Cl 2.23-2.32, 2 N 2.35-2.36
Ti 0.2718 0.2427 0.8511  4 Cl 2.23-2.32, 2 N 2.35-2.36

SG: No. 14
volume: 23.0 A^3/atom
E: -68.74 eV/f.u.
formation energy: -0.462 eV per atom

NaCSN: relaxed, PBE.

a b c (Å): 4.1170 5.7937 14.3504
angles (deg): 90.00 90.00 90.00
With the nearest neighbours (Å) after each atom.
Positions (direct):
C 0.7500 0.9408 0.3736  1 N 1.19
C 0.2500 0.0592 0.6264  1 N 1.19
C 0.7500 0.5592 0.8736  1 N 1.19
C 0.2500 0.4408 0.1264  1 N 1.19
Na 0.7500 0.6537 0.6217  2 N 2.46
Na 0.7500 0.8463 0.1217  2 N 2.46
Na 0.2500 0.3463 0.3783  2 N 2.46
Na 0.2500 0.1537 0.8783  2 N 2.46
S 0.2500 0.1886 0.1775  1 C 1.63
S 0.2500 0.3114 0.6775  1 C 1.63
S 0.7500 0.6886 0.3225  1 C 1.63
S 0.7500 0.8114 0.8225  1 C 1.63
N 0.7500 0.1264 0.4089  1 C 1.19
N 0.7500 0.3736 0.9089  1 C 1.19
N 0.2500 0.6264 0.0911  1 C 1.19
N 0.2500 0.8736 0.5911  1 C 1.19

SG: No. 62
volume: 21.4 A^3/atom
E: -24.24 eV/f.u.
formation energy: -0.521 eV per atom
distance to the lowest polymorph of the same formula: 0.059 eV per atom

Li6ZrBeF12: relaxed, PBE.

a b c (Å): 10.5330 10.5330 10.5330
angles (deg): 143.02 143.02 53.29
With the nearest neighbours (Å) after each atom.
Positions (direct):
F 0.5844 0.3550 0.7705  2 Li 1.85
F 0.4872 0.7029 0.7842  1 Li 1.94, 1 Zr 2.10
F 0.5639 0.8344 0.7295  2 Li 1.85
F 0.4529 0.7372 0.2842  1 Li 1.94, 1 Zr 2.10
F 0.6450 0.4156 0.2295  2 Li 1.85
F 0.5844 0.8139 0.2295  2 Li 1.85
F 0.1050 0.8344 0.2705  2 Li 1.85
F 0.1656 0.4361 0.2705  2 Li 1.85
F 0.9187 0.7029 0.2158  1 Li 1.94, 1 Zr 2.10
F 0.1656 0.8950 0.7295  2 Li 1.85
F 0.8003 0.4908 0.6905  1 Be 1.59
F 0.2628 0.5471 0.7158  1 Li 1.94, 1 Zr 2.10
F 0.4529 0.1687 0.7158  1 Li 1.94, 1 Zr 2.10
F 0.8597 0.0503 0.8095  1 Be 1.59
F 0.9497 0.7592 0.8095  1 Be 1.59
F 0.1861 0.4156 0.7705  2 Li 1.85
F 0.8903 0.1997 0.6905  1 Be 1.59
F 0.8003 0.1097 0.3095  1 Be 1.59
F 0.8313 0.5471 0.2842  1 Li 1.94, 1 Zr 2.10
F 0.2971 0.5128 0.2158  1 Li 1.94, 1 Zr 2.10
F 0.9497 0.1403 0.1905  1 Be 1.59
F 0.2971 0.0813 0.7842  1 Li 1.94, 1 Zr 2.10
F 0.2408 0.0503 0.1905  1 Be 1.59
F 0.5092 0.1997 0.3095  1 Be 1.59
Li 0.1086 0.6250 0.9836  2 F 1.85
Li 0.7718 0.7718 0.0000  6 F 1.94-2.16
Li 0.6414 0.6250 0.5164  2 F 1.85
Li 0.2282 0.2282 0.0000  6 F 1.94-2.16
Li 0.8750 0.8914 0.5164  2 F 1.85
Li 0.8750 0.3586 0.9836  2 F 1.85
Li 0.1086 0.1250 0.4836  2 F 1.85
Li 0.5218 0.0218 0.5000  6 F 1.94-2.16
Li 0.3750 0.8914 0.0164  2 F 1.85
Li 0.6414 0.1250 0.0164  2 F 1.85
Li 0.3750 0.3586 0.4836  2 F 1.85
Li 0.9782 0.4782 0.5000  6 F 1.94-2.16
Zr 0.5000 0.5000 0.0000  8 F 2.10-2.21
Zr 0.2500 0.7500 0.5000  8 F 2.10-2.21
Be 0.0000 0.0000 0.0000  4 F 1.59
Be 0.7500 0.2500 0.5000  4 F 1.59

SG: No. 141
volume: 10.5 A^3/atom
E: -110.28 eV/f.u.
formation energy: -3.455 eV per atom